Run a
An optimized crystal structure of MgV4FeNiO12, computed with GGA+U.

Lattice parameters (Å, degrees): 7.061 7.061 5.528 108.80 108.80 77.08
Fractional positions:
Mg 0.000 0.000 0.000
V 0.104 0.465 0.002
V 0.336 0.114 0.535
V 0.535 0.896 0.998
V 0.886 0.664 0.465
Fe 0.627 0.373 0.000
Ni 0.804 0.196 0.500
O 0.030 0.664 0.850
O 0.072 0.141 0.405
O 0.126 0.571 0.338
O 0.321 0.318 0.920
O 0.336 0.970 0.150
O 0.429 0.874 0.662
O 0.536 0.251 0.594
O 0.682 0.679 0.080
O 0.705 0.072 0.096
O 0.749 0.464 0.406
O 0.859 0.928 0.595
O 0.928 0.295 0.904

Run b
An optimized crystal structure of MgV4FeNiO12, computed with GGA+U.

Lattice parameters (Å, degrees): 5.760 6.890 6.948 79.02 74.16 71.66
Fractional positions:
Mg 0.000 0.000 0.000
V 0.005 0.554 0.854
V 0.046 0.083 0.463
V 0.545 0.340 0.046
V 0.552 0.885 0.653
Fe 0.551 0.782 0.181
Ni 0.058 0.626 0.336
O 0.034 0.332 0.393
O 0.094 0.647 0.610
O 0.144 0.926 0.253
O 0.216 0.996 0.696
O 0.337 0.389 0.896
O 0.440 0.508 0.229
O 0.602 0.081 0.140
O 0.616 0.724 0.870
O 0.660 0.742 0.454
O 0.718 0.068 0.608
O 0.875 0.317 0.927
O 0.956 0.710 0.062

Computed stability ranking, most favorable first: run a, run b

Run a
An optimized crystal structure of MgV8Zn4O16, computed with GGA+U.

Lattice parameters (Å, degrees): 3.130 10.046 10.830 84.31 89.19 83.28
Fractional positions:
Mg 0.000 0.000 0.000
V 0.162 0.602 0.746
V 0.171 0.641 0.106
V 0.533 0.919 0.257
V 0.609 0.893 0.570
V 0.745 0.384 0.613
V 0.756 0.425 0.274
V 0.904 0.185 0.156
V 0.947 0.109 0.759
Zn 0.150 0.660 0.434
Zn 0.285 0.184 0.414
Zn 0.391 0.319 0.883
Zn 0.600 0.800 0.862
O 0.016 0.037 0.323
O 0.049 0.826 0.160
O 0.067 0.000 0.598
O 0.139 0.691 0.914
O 0.180 0.520 0.580
O 0.209 0.552 0.297
O 0.336 0.293 0.234
O 0.363 0.254 0.692
O 0.471 0.054 0.110
O 0.500 0.989 0.866
O 0.598 0.791 0.423
O 0.635 0.734 0.689
O 0.679 0.472 0.787
O 0.717 0.531 0.102
O 0.757 0.303 0.453
O 0.929 0.217 0.944

Run b
An optimized crystal structure of MgV8Zn4O16, computed with GGA+U.

Lattice parameters (Å, degrees): 3.189 10.055 10.515 85.66 89.95 86.14
Fractional positions:
Mg 0.000 0.000 0.000
V 0.137 0.723 0.723
V 0.259 0.728 0.083
V 0.310 0.266 0.105
V 0.336 0.237 0.755
V 0.743 0.505 0.586
V 0.814 0.024 0.255
V 0.850 0.520 0.248
V 0.917 0.013 0.564
Zn 0.352 0.770 0.410
Zn 0.355 0.282 0.420
Zn 0.569 0.935 0.808
Zn 0.778 0.475 0.918
O 0.115 0.834 0.890
O 0.215 0.625 0.560
O 0.294 0.133 0.297
O 0.307 0.350 0.927
O 0.309 0.648 0.277
O 0.377 0.148 0.581
O 0.383 0.397 0.219
O 0.518 0.924 0.114
O 0.544 0.855 0.645
O 0.684 0.606 0.768
O 0.791 0.595 0.064
O 0.821 0.104 0.827
O 0.831 0.893 0.405
O 0.833 0.410 0.431
O 0.834 0.158 0.093
O 0.834 0.349 0.701

Computed stability ranking, most favorable first: run a, run b

Run a
An optimized crystal structure of FeP3O9, computed with GGA+U.

Lattice parameters (Å, degrees): 8.535 8.597 8.689 90.00 90.00 90.00
Fractional positions:
Fe 0.132 0.142 0.148
Fe 0.368 0.858 0.648
Fe 0.632 0.358 0.852
Fe 0.868 0.642 0.352
P 0.035 0.677 0.691
P 0.182 0.514 0.187
P 0.201 0.192 0.550
P 0.299 0.808 0.050
P 0.318 0.486 0.687
P 0.465 0.323 0.191
P 0.535 0.823 0.309
P 0.682 0.986 0.813
P 0.701 0.308 0.450
P 0.799 0.692 0.950
P 0.818 0.014 0.313
P 0.965 0.177 0.809
O 0.042 0.219 0.647
O 0.089 0.124 0.919
O 0.100 0.596 0.317
O 0.103 0.375 0.118
O 0.137 0.812 0.642
O 0.144 0.533 0.744
O 0.153 0.161 0.387
O 0.192 0.918 0.134
O 0.222 0.637 0.053
O 0.278 0.363 0.553
O 0.308 0.082 0.634
O 0.347 0.839 0.887
O 0.356 0.467 0.244
O 0.363 0.188 0.142
O 0.397 0.625 0.618
O 0.400 0.404 0.817
O 0.411 0.876 0.419
O 0.458 0.781 0.147
O 0.542 0.281 0.353
O 0.589 0.376 0.081
O 0.600 0.904 0.683
O 0.603 0.125 0.882
O 0.637 0.688 0.358
O 0.644 0.967 0.256
O 0.653 0.339 0.613
O 0.692 0.582 0.866
O 0.722 0.863 0.947
O 0.778 0.137 0.447
O 0.808 0.418 0.366
O 0.847 0.661 0.113
O 0.856 0.033 0.756
O 0.863 0.312 0.858
O 0.897 0.875 0.382
O 0.900 0.096 0.183
O 0.911 0.624 0.581
O 0.958 0.719 0.853

Run b
An optimized crystal structure of FeP3O9, computed with GGA+U.

Lattice parameters (Å, degrees): 11.788 11.788 9.590 109.95 109.95 110.80
Fractional positions:
Fe 0.079 0.921 0.500
Fe 0.226 0.737 0.968
Fe 0.414 0.591 0.503
Fe 0.591 0.414 0.003
Fe 0.737 0.226 0.468
Fe 0.921 0.079 0.000
P 0.154 0.551 0.153
P 0.210 0.485 0.655
P 0.244 0.285 0.774
P 0.268 0.995 0.314
P 0.285 0.244 0.274
P 0.325 0.934 0.806
P 0.485 0.210 0.155
P 0.551 0.154 0.653
P 0.565 0.938 0.755
P 0.581 0.870 0.210
P 0.618 0.672 0.337
P 0.672 0.618 0.837
P 0.832 0.894 0.176
P 0.870 0.581 0.710
P 0.894 0.832 0.676
P 0.934 0.325 0.306
P 0.938 0.565 0.255
P 0.995 0.268 0.814
O 0.016 0.664 0.870
O 0.025 0.915 0.676
O 0.028 0.408 0.969
O 0.061 0.602 0.213
O 0.073 0.363 0.466
O 0.136 0.166 0.124
O 0.142 0.925 0.329
O 0.153 0.307 0.861
O 0.166 0.136 0.624
O 0.169 0.547 0.779
O 0.234 0.520 0.279
O 0.235 0.807 0.805
O 0.239 0.661 0.126
O 0.257 0.918 0.145
O 0.262 0.937 0.643
O 0.266 0.391 0.703
O 0.307 0.153 0.361
O 0.317 0.589 0.639
O 0.345 0.387 0.426
O 0.363 0.073 0.966
O 0.387 0.345 0.926
O 0.391 0.266 0.203
O 0.408 0.028 0.469
O 0.437 0.820 0.067
O 0.471 0.795 0.586
O 0.480 0.959 0.853
O 0.513 0.586 0.370
O 0.520 0.234 0.779
O 0.547 0.169 0.279
O 0.557 0.755 0.267
O 0.586 0.513 0.870
O 0.589 0.317 0.139
O 0.595 0.655 0.718
O 0.602 0.061 0.713
O 0.655 0.595 0.218
O 0.661 0.239 0.626
O 0.664 0.016 0.370
O 0.671 0.855 0.119
O 0.706 0.974 0.886
O 0.755 0.557 0.767
O 0.759 0.804 0.521
O 0.795 0.471 0.086
O 0.804 0.759 0.021
O 0.807 0.235 0.305
O 0.820 0.437 0.567
O 0.855 0.671 0.619
O 0.897 0.898 0.344
O 0.898 0.897 0.844
O 0.915 0.025 0.176
O 0.918 0.257 0.645
O 0.925 0.142 0.829
O 0.937 0.262 0.143
O 0.959 0.480 0.353
O 0.974 0.706 0.386

Computed stability ranking, most favorable first: run b, run a

Run a
An optimized crystal structure of MnP2O7, computed with GGA+U.

Lattice parameters (Å, degrees): 6.266 9.664 10.631 65.09 80.23 73.65
Fractional positions:
Mn 0.122 0.252 0.249
Mn 0.214 0.615 0.272
Mn 0.786 0.385 0.728
Mn 0.878 0.748 0.751
P 0.089 0.658 0.034
P 0.197 0.284 0.529
P 0.399 0.641 0.797
P 0.417 0.882 0.294
P 0.583 0.118 0.706
P 0.601 0.359 0.203
P 0.803 0.716 0.471
P 0.911 0.342 0.966
O 0.062 0.268 0.668
O 0.067 0.521 0.181
O 0.100 0.232 0.440
O 0.107 0.284 0.051
O 0.150 0.772 0.081
O 0.194 0.739 0.713
O 0.213 0.005 0.308
O 0.242 0.449 0.454
O 0.305 0.586 0.958
O 0.374 0.722 0.324
O 0.429 0.158 0.576
O 0.438 0.255 0.222
O 0.463 0.041 0.843
O 0.500 0.484 0.781
O 0.500 0.516 0.219
O 0.537 0.959 0.157
O 0.562 0.745 0.778
O 0.571 0.842 0.424
O 0.626 0.278 0.676
O 0.695 0.414 0.042
O 0.758 0.551 0.546
O 0.787 0.995 0.692
O 0.806 0.261 0.287
O 0.850 0.228 0.919
O 0.893 0.716 0.949
O 0.900 0.768 0.560
O 0.933 0.479 0.819
O 0.938 0.732 0.332

Run b
An optimized crystal structure of MnP2O7, computed with GGA+U.

Lattice parameters (Å, degrees): 6.273 9.389 10.593 64.82 80.22 73.72
Fractional positions:
Mn 0.000 0.000 0.000
Mn 0.090 0.367 0.028
Mn 0.338 0.866 0.522
Mn 0.429 0.233 0.550
P 0.015 0.337 0.739
P 0.125 0.958 0.240
P 0.304 0.275 0.310
P 0.414 0.896 0.811
P 0.610 0.266 0.075
P 0.636 0.515 0.565
P 0.793 0.718 0.985
P 0.818 0.968 0.475
O 0.009 0.609 0.970
O 0.022 0.868 0.563
O 0.068 0.835 0.190
O 0.105 0.334 0.225
O 0.113 0.388 0.830
O 0.148 0.096 0.087
O 0.155 0.359 0.605
O 0.274 0.874 0.945
O 0.281 0.138 0.463
O 0.315 0.845 0.720
O 0.323 0.900 0.325
O 0.361 0.398 0.360
O 0.406 0.365 0.987
O 0.420 0.625 0.580
O 0.459 0.066 0.737
O 0.516 0.205 0.237
O 0.586 0.342 0.604
O 0.642 0.763 0.861
O 0.655 0.864 0.496
O 0.666 0.660 0.127
O 0.713 0.102 0.054
O 0.715 0.132 0.496
O 0.761 0.582 0.427
O 0.774 0.369 0.054
O 0.787 0.470 0.689
O 0.842 0.892 0.946
O 0.913 0.028 0.313
O 0.970 0.167 0.813

Run c
An optimized crystal structure of MnP2O7, computed with GGA+U.

Lattice parameters (Å, degrees): 5.017 6.309 8.462 110.34 90.15 92.95
Fractional positions:
Mn 0.239 0.292 0.227
Mn 0.761 0.708 0.773
P 0.219 0.357 0.638
P 0.295 0.063 0.843
P 0.705 0.937 0.157
P 0.781 0.643 0.362
O 0.062 0.574 0.297
O 0.098 0.866 0.828
O 0.236 0.275 0.448
O 0.254 0.281 0.994
O 0.258 0.128 0.677
O 0.415 0.009 0.159
O 0.434 0.533 0.734
O 0.566 0.467 0.266
O 0.585 0.991 0.841
O 0.742 0.872 0.323
O 0.746 0.719 0.006
O 0.764 0.725 0.552
O 0.902 0.134 0.172
O 0.938 0.426 0.703

Computed stability ranking, most favorable first: run c, run a, run b